Record 1
The following is a PBE-GGA calculation of an optimized crystal structure of FeCu3S4, from the Materials Project database.

## Properties
Formation energy from the elements (eV per formula unit): -4.274
E (eV/atom): -4.95

Cell lengths 6.3518, 6.3518, 6.3518 Å; angles 131.45, 131.45, 71.10 degrees
Element x y z (fractional)
Fe 0.0000 0.0000 0.0000
Cu 0.2500 0.7500 0.5000
Cu 0.5000 0.5000 0.0000
Cu 0.7500 0.2500 0.5000
S 0.1211 0.6338 0.0000
S 0.3662 0.3662 0.4872
S 0.6338 0.1211 0.0000
S 0.8789 0.8789 0.5128

Record 2
The following is a PBE-GGA calculation of an optimized crystal structure of NpF6, from the Materials Project database.

## Properties
Formation energy from the elements (eV per formula unit): -24.262
E (eV/atom): -6.56

Cell lengths 10.2946, 9.3288, 5.4123 Å; angles 90.00, 90.00, 90.00 degrees
Element x y z (fractional)
Np 0.1296 0.2500 0.0802
Np 0.3704 0.7500 0.5802
Np 0.6296 0.2500 0.4198
Np 0.8704 0.7500 0.9198
F 0.0156 0.2500 0.7789
F 0.0171 0.0983 0.2340
F 0.0171 0.4017 0.2340
F 0.2415 0.0975 0.9276
F 0.2415 0.4025 0.9276
F 0.2440 0.2500 0.3816
F 0.2560 0.7500 0.8816
F 0.2585 0.5975 0.4276
F 0.2585 0.9025 0.4276
F 0.4829 0.5983 0.7340
F 0.4829 0.9017 0.7340
F 0.4844 0.7500 0.2789
F 0.5156 0.2500 0.7211
F 0.5171 0.0983 0.2660
F 0.5171 0.4017 0.2660
F 0.7415 0.0975 0.5724
F 0.7415 0.4025 0.5724
F 0.7440 0.2500 0.1184
F 0.7560 0.7500 0.6184
F 0.7585 0.5975 0.0724
F 0.7585 0.9025 0.0724
F 0.9829 0.5983 0.7660
F 0.9829 0.9017 0.7660
F 0.9844 0.7500 0.2211

Record 3
The following is a PBE-GGA calculation of an optimized crystal structure of ZrS2O13, from the Materials Project database.

## Properties
Polymorph energy (0 for the lowest one) (meV/atom): 0
Formation energy from the elements (eV per formula unit): -18.309
E (eV/atom): -6.09

Cell lengths 6.7802, 8.0843, 11.7992 Å; angles 98.55, 101.09, 106.49 degrees
Element x y z (fractional)
Zr 0.0641 0.2377 0.1871
Zr 0.9359 0.7623 0.8129
S 0.0691 0.2442 0.4304
S 0.2572 0.2030 0.9369
S 0.7428 0.7970 0.0631
S 0.9309 0.7558 0.5696
O 0.0468 0.0908 0.3306
O 0.1176 0.3981 0.3645
O 0.1200 0.0089 0.9147
O 0.1286 0.7792 0.5342
O 0.1493 0.6575 0.8468
O 0.1650 0.2875 0.8505
O 0.2447 0.2806 0.0601
O 0.2485 0.2745 0.5296
O 0.3263 0.6524 0.2367
O 0.3538 0.7664 0.3232
O 0.4748 0.2111 0.9374
O 0.4834 0.2641 0.2923
O 0.4956 0.1171 0.2561
O 0.5044 0.8829 0.7439
O 0.5166 0.7359 0.7077
O 0.5252 0.7889 0.0626
O 0.6462 0.2336 0.6768
O 0.6737 0.3476 0.7633
O 0.7515 0.7255 0.4704
O 0.7553 0.7194 0.9399
O 0.8350 0.7125 0.1495
O 0.8507 0.3425 0.1532
O 0.8714 0.2208 0.4658
O 0.8800 0.9911 0.0853
O 0.8824 0.6019 0.6355
O 0.9532 0.9092 0.6694

Record 4
The following is a PBE-GGA calculation of an optimized crystal structure of ZrAs, from the Materials Project database.

## Properties
Formation energy from the elements (eV per formula unit): -2.285
E (eV/atom): -7.75

Cell lengths 3.8382, 3.8382, 13.0072 Å; angles 90.00, 90.00, 120.00 degrees
Element x y z (fractional)
Zr 0.3333 0.6667 0.1163
Zr 0.3333 0.6667 0.3837
Zr 0.6667 0.3333 0.6163
Zr 0.6667 0.3333 0.8837
As 0.0000 0.0000 0.0000
As 0.0000 0.0000 0.5000
As 0.3333 0.6667 0.7500
As 0.6667 0.3333 0.2500

Question: Among the records above, which one has the lowest formation energy from the elements?
Answer: NpF6

Please write out number 4 again, unchanged.
The following is a PBE-GGA calculation of an optimized crystal structure of ZrAs, from the Materials Project database.

## Properties
Formation energy from the elements (eV per formula unit): -2.285
E (eV/atom): -7.75

Cell lengths 3.8382, 3.8382, 13.0072 Å; angles 90.00, 90.00, 120.00 degrees
Element x y z (fractional)
Zr 0.3333 0.6667 0.1163
Zr 0.3333 0.6667 0.3837
Zr 0.6667 0.3333 0.6163
Zr 0.6667 0.3333 0.8837
As 0.0000 0.0000 0.0000
As 0.0000 0.0000 0.5000
As 0.3333 0.6667 0.7500
As 0.6667 0.3333 0.2500